# 1
This record from the Materials Project database describes an optimized crystal structure of Sr2MnP3O11. The functional is GGA+U.

Values from the calculation:
Calculated volume: 13.21 Å³/atom
Energy with MP2020 corrections: -7.86 eV/atom
ΔH_f (0 K): -2962 meV per atom
Electronic total energy: -124.339 eV per formula unit
Theoretical density: 3.7 g/cm3

Structure (CIF):
```
data_Sr2MnP3O11
_cell_length_a 6.749
_cell_length_b 6.939
_cell_length_c 19.446
_cell_angle_alpha 90.00
_cell_angle_beta 99.45
_cell_angle_gamma 90.00
_space_group_name_H-M_alt 'P 1 21/c 1'
_space_group_IT_number 14
loop_
_space_group_symop_operation_xyz
'x,y,z'
'-x,-y,-z'
'-x,y+1/2,-z+1/2'
'x,-y+1/2,z+1/2'
loop_
_atom_site_label
_atom_site_type_symbol
_atom_site_fract_x
_atom_site_fract_y
_atom_site_fract_z
_atom_site_occupancy
Sr1 Sr 0.162 0.043 0.267 1
Sr2 Sr 0.181 0.141 0.573 1
Mn1 Mn 0.460 0.629 0.624 1
P1 P 0.059 0.138 0.908 1
P2 P 0.322 0.690 0.457 1
P3 P 0.323 0.544 0.229 1
O1 O 0.009 0.188 0.450 1
O2 O 0.128 0.522 0.625 1
O3 O 0.189 0.501 0.468 1
O4 O 0.190 0.695 0.255 1
O5 O 0.192 0.662 0.915 1
O6 O 0.194 0.133 0.702 1
O7 O 0.204 0.182 0.857 1
O8 O 0.408 0.741 0.032 1
O9 O 0.423 0.614 0.164 1
O10 O 0.491 0.511 0.716 1
O11 O 0.500 0.123 0.080 1
```

---

# 2
This record from the Materials Project database describes an optimized crystal structure of BaSr4Fe5O15. The functional is GGA+U.

Values from the calculation:
Calculated volume: 12.24 Å³/atom
Energy with MP2020 corrections: -7.21 eV/atom
ΔH_f (0 K): -2202 meV per atom
Electronic total energy: -158.712 eV per formula unit
Theoretical density: 5.5 g/cm3
Polymorph energy (0 for the lowest one): 3 meV per atom

Structure (CIF):
```
data_BaSr4Fe5O15
_cell_length_a 5.572
_cell_length_b 7.885
_cell_length_c 14.743
_cell_angle_alpha 105.47
_cell_angle_beta 100.86
_cell_angle_gamma 90.02
_space_group_name_H-M_alt 'P -1'
_space_group_IT_number 2
loop_
_space_group_symop_operation_xyz
'x,y,z'
'-x,-y,-z'
loop_
_atom_site_label
_atom_site_type_symbol
_atom_site_fract_x
_atom_site_fract_y
_atom_site_fract_z
_atom_site_occupancy
Ba1 Ba 0.000 0.250 0.000 1
Sr1 Sr 0.200 0.450 0.400 1
Sr2 Sr 0.200 0.950 0.400 1
Sr3 Sr 0.399 0.149 0.799 1
Sr4 Sr 0.400 0.650 0.799 1
Fe1 Fe 0.101 0.101 0.202 1
Fe2 Fe 0.101 0.602 0.203 1
Fe3 Fe 0.300 0.300 0.599 1
Fe4 Fe 0.300 0.800 0.599 1
Fe5 Fe 0.500 0.000 0.000 1
Fe6 Fe 0.500 0.500 0.000 1
O1 O 0.000 0.250 0.500 1
O2 O 0.098 0.848 0.696 1
O3 O 0.099 0.349 0.697 1
O4 O 0.103 0.850 0.207 1
O5 O 0.104 0.358 0.207 1
O6 O 0.199 0.947 0.894 1
O7 O 0.200 0.447 0.895 1
O8 O 0.299 0.050 0.599 1
O9 O 0.299 0.550 0.599 1
O10 O 0.305 0.053 0.107 1
O11 O 0.306 0.553 0.106 1
O12 O 0.402 0.152 0.304 1
O13 O 0.402 0.651 0.303 1
O14 O 0.499 0.750 0.500 1
O15 O 0.500 0.257 0.000 1
```

---

# 3
This record from the Materials Project database describes an optimized crystal structure of LiSbMo2O8. The functional is GGA+U.

Values from the calculation:
Calculated volume: 12.81 Å³/atom
Energy with MP2020 corrections: -7.60 eV/atom
ΔH_f (0 K): -1992 meV per atom
Electronic total energy: -79.317 eV per formula unit
Theoretical density: 4.8 g/cm3

Structure (CIF):
```
data_LiSbMo2O8
_cell_length_a 22.101
_cell_length_b 5.022
_cell_length_c 5.634
_cell_angle_alpha 90.00
_cell_angle_beta 100.38
_cell_angle_gamma 90.00
_space_group_name_H-M_alt 'C 1 2/c 1'
_space_group_IT_number 15
loop_
_space_group_symop_operation_xyz
'x,y,z'
'-x,-y,-z'
'-x,y,-z+1/2'
'x,-y,z+1/2'
'x+1/2,y+1/2,z'
'-x+1/2,-y+1/2,-z'
'-x+1/2,y+1/2,-z+1/2'
'x+1/2,-y+1/2,z+1/2'
loop_
_atom_site_label
_atom_site_type_symbol
_atom_site_fract_x
_atom_site_fract_y
_atom_site_fract_z
_atom_site_occupancy
Li1 Li 0.250 0.250 0.000 1
Sb1 Sb 0.000 0.188 0.750 1
Mo1 Mo 0.138 0.252 0.282 1
O1 O 0.052 0.092 0.118 1
O2 O 0.104 0.453 0.492 1
O3 O 0.161 0.047 0.959 1
O4 O 0.210 0.406 0.287 1
```

---

# 4
This record from the Materials Project database describes an optimized crystal structure of CrBi14O24. The functional is GGA+U.

Values from the calculation:
Calculated volume: 17.01 Å³/atom
Energy with MP2020 corrections: -6.27 eV/atom
ΔH_f (0 K): -1583 meV per atom
Electronic total energy: -226.109 eV per formula unit
Theoretical density: 8.4 g/cm3
Polymorph energy (0 for the lowest one): 90 meV per atom

Structure (CIF):
```
data_CrBi14O24
_cell_length_a 12.339
_cell_length_b 17.259
_cell_length_c 8.755
_cell_angle_alpha 90.00
_cell_angle_beta 134.62
_cell_angle_gamma 90.00
_space_group_name_H-M_alt 'C 1 2 1'
_space_group_IT_number 5
loop_
_space_group_symop_operation_xyz
'x,y,z'
'-x,y,-z'
'x+1/2,y+1/2,z'
'-x+1/2,y+1/2,-z'
loop_
_atom_site_label
_atom_site_type_symbol
_atom_site_fract_x
_atom_site_fract_y
_atom_site_fract_z
_atom_site_occupancy
Cr1 Cr 0.000 0.000 0.000 1
Bi1 Bi 0.000 0.346 0.000 1
Bi2 Bi 0.000 0.665 0.000 1
Bi3 Bi 0.063 0.504 0.357 1
Bi4 Bi 0.108 0.175 0.402 1
Bi5 Bi 0.110 0.837 0.403 1
Bi6 Bi 0.204 0.674 0.813 1
Bi7 Bi 0.207 0.338 0.814 1
Bi8 Bi 0.216 0.006 0.773 1
O1 O 0.000 0.101 0.000 1
O2 O 0.000 0.124 0.500 1
O3 O 0.000 0.387 0.500 1
O4 O 0.000 0.624 0.500 1
O5 O 0.000 0.888 0.500 1
O6 O 0.000 0.889 0.000 1
O7 O 0.080 0.259 0.833 1
O8 O 0.080 0.753 0.833 1
O9 O 0.125 0.586 0.943 1
O10 O 0.126 0.426 0.941 1
O11 O 0.182 0.427 0.304 1
O12 O 0.183 0.985 0.258 1
O13 O 0.184 0.584 0.309 1
O14 O 0.245 0.259 0.326 1
O15 O 0.247 0.752 0.328 1
```

---

# 5
This record from the Materials Project database describes an optimized crystal structure of Ni3P4O16. The functional is GGA+U.

Values from the calculation:
Calculated volume: 13.81 Å³/atom
Energy with MP2020 corrections: -6.93 eV/atom
ΔH_f (0 K): -1793 meV per atom
Electronic total energy: -140.792 eV per formula unit
Theoretical density: 2.9 g/cm3
Polymorph energy (0 for the lowest one): 2 meV per atom

Structure (CIF):
```
data_Ni3P4O16
_cell_length_a 8.012
_cell_length_b 9.011
_cell_length_c 13.225
_cell_angle_alpha 86.29
_cell_angle_beta 89.72
_cell_angle_gamma 89.62
_space_group_name_H-M_alt 'P 1'
_space_group_IT_number 1
loop_
_space_group_symop_operation_xyz
'x,y,z'
loop_
_atom_site_label
_atom_site_type_symbol
_atom_site_fract_x
_atom_site_fract_y
_atom_site_fract_z
_atom_site_occupancy
Ni1 Ni 0.000 0.000 0.000 1
Ni2 Ni 0.005 0.338 0.667 1
Ni3 Ni 0.017 0.675 0.335 1
Ni4 Ni 0.371 0.104 0.001 1
Ni5 Ni 0.499 0.840 0.668 1
Ni6 Ni 0.506 0.503 0.000 1
Ni7 Ni 0.511 0.172 0.335 1
Ni8 Ni 0.643 0.575 0.334 1
Ni9 Ni 0.870 0.740 0.666 1
P1 P 0.201 0.313 0.892 1
P2 P 0.207 0.642 0.558 1
P3 P 0.209 0.977 0.222 1
P4 P 0.305 0.811 0.893 1
P5 P 0.309 0.143 0.556 1
P6 P 0.309 0.479 0.224 1
P7 P 0.701 0.530 0.776 1
P8 P 0.706 0.199 0.111 1
P9 P 0.715 0.863 0.445 1
P10 P 0.804 0.031 0.776 1
P11 P 0.804 0.698 0.114 1
P12 P 0.813 0.364 0.443 1
O1 O 0.075 0.430 0.927 1
O2 O 0.082 0.756 0.599 1
O3 O 0.083 0.087 0.267 1
O4 O 0.126 0.833 0.931 1
O5 O 0.134 0.506 0.264 1
O6 O 0.139 0.822 0.244 1
O7 O 0.140 0.170 0.605 1
O8 O 0.155 0.480 0.583 1
O9 O 0.156 0.148 0.921 1
O10 O 0.190 0.352 0.777 1
O11 O 0.199 0.670 0.442 1
O12 O 0.213 0.011 0.105 1
O13 O 0.319 0.503 0.107 1
O14 O 0.319 0.844 0.778 1
O15 O 0.321 0.189 0.441 1
O16 O 0.359 0.314 0.247 1
O17 O 0.365 0.651 0.918 1
O18 O 0.375 0.006 0.273 1
O19 O 0.376 0.986 0.579 1
O20 O 0.378 0.323 0.940 1
O21 O 0.380 0.670 0.600 1
O22 O 0.429 0.922 0.937 1
O23 O 0.431 0.590 0.266 1
O24 O 0.433 0.258 0.597 1
O25 O 0.576 0.413 0.741 1
O26 O 0.582 0.087 0.069 1
O27 O 0.588 0.752 0.404 1
O28 O 0.626 0.010 0.737 1
O29 O 0.637 0.354 0.393 1
O30 O 0.639 0.670 0.062 1
O31 O 0.644 0.019 0.420 1
O32 O 0.655 0.362 0.088 1
O33 O 0.655 0.695 0.747 1
O34 O 0.692 0.489 0.891 1
O35 O 0.695 0.167 0.227 1
O36 O 0.710 0.831 0.563 1
O37 O 0.802 0.665 0.231 1
O38 O 0.818 0.001 0.891 1
O39 O 0.820 0.324 0.558 1
O40 O 0.858 0.529 0.415 1
O41 O 0.863 0.191 0.750 1
O42 O 0.877 0.519 0.726 1
O43 O 0.877 0.852 0.090 1
O44 O 0.880 0.169 0.069 1
O45 O 0.890 0.841 0.403 1
O46 O 0.929 0.919 0.731 1
O47 O 0.930 0.586 0.069 1
O48 O 0.938 0.246 0.407 1
```

---

# 6
This record from the Materials Project database describes an optimized crystal structure of VP3O9. The functional is GGA+U.

Values from the calculation:
Calculated volume: 13.56 Å³/atom
Energy with MP2020 corrections: -7.95 eV/atom
ΔH_f (0 K): -2581 meV per atom
Electronic total energy: -95.524 eV per formula unit
Theoretical density: 2.7 g/cm3
Polymorph energy (0 for the lowest one): 72 meV per atom

Structure (CIF):
```
data_VP3O9
_cell_length_a 9.427
_cell_length_b 9.431
_cell_length_c 9.677
_cell_angle_alpha 109.33
_cell_angle_beta 104.34
_cell_angle_gamma 108.85
_space_group_name_H-M_alt 'P -1'
_space_group_IT_number 2
loop_
_space_group_symop_operation_xyz
'x,y,z'
'-x,-y,-z'
loop_
_atom_site_label
_atom_site_type_symbol
_atom_site_fract_x
_atom_site_fract_y
_atom_site_fract_z
_atom_site_occupancy
V1 V 0.100 0.300 0.210 1
V2 V 0.255 0.775 0.724 1
P1 P 0.000 0.390 0.650 1
P2 P 0.062 0.797 0.168 1
P3 P 0.188 0.096 0.922 1
P4 P 0.303 0.434 0.595 1
P5 P 0.427 0.666 0.304 1
P6 P 0.484 0.844 0.099 1
O1 O 0.009 0.628 0.197 1
O2 O 0.035 0.724 0.993 1
O3 O 0.037 0.573 0.686 1
O4 O 0.096 0.166 0.822 1
O5 O 0.123 0.905 0.815 1
O6 O 0.146 0.738 0.501 1
O7 O 0.155 0.359 0.645 1
O8 O 0.177 0.139 0.081 1
O9 O 0.217 0.934 0.290 1
O10 O 0.249 0.329 0.419 1
O11 O 0.268 0.512 0.244 1
O12 O 0.353 0.619 0.652 1
O13 O 0.358 0.810 0.948 1
O14 O 0.371 0.193 0.944 1
O15 O 0.407 0.697 0.142 1
O16 O 0.436 0.409 0.704 1
O17 O 0.439 0.985 0.764 1
O18 O 0.485 0.816 0.451 1
```

---

# 7
This record from the Materials Project database describes an optimized crystal structure of MgV2In2O8. The functional is GGA+U.

Values from the calculation:
Calculated volume: 12.68 Å³/atom
Energy with MP2020 corrections: -7.22 eV/atom
ΔH_f (0 K): -2228 meV per atom
Electronic total energy: -84.924 eV per formula unit
Theoretical density: 4.9 g/cm3
Polymorph energy (0 for the lowest one): 67 meV per atom

Structure (CIF):
```
data_MgV2In2O8
_cell_length_a 5.160
_cell_length_b 5.193
_cell_length_c 6.366
_cell_angle_alpha 86.67
_cell_angle_beta 87.05
_cell_angle_gamma 75.72
_space_group_name_H-M_alt 'P 1'
_space_group_IT_number 1
loop_
_space_group_symop_operation_xyz
'x,y,z'
loop_
_atom_site_label
_atom_site_type_symbol
_atom_site_fract_x
_atom_site_fract_y
_atom_site_fract_z
_atom_site_occupancy
Mg1 Mg 0.000 0.000 0.000 1
V1 V 0.197 0.339 0.242 1
V2 V 0.679 0.318 0.513 1
In1 In 0.169 0.826 0.522 1
In2 In 0.594 0.700 0.985 1
O1 O 0.350 0.094 0.036 1
O2 O 0.416 0.134 0.469 1
O3 O 0.441 0.567 0.277 1
O4 O 0.478 0.582 0.708 1
O5 O 0.864 0.065 0.721 1
O6 O 0.927 0.111 0.290 1
O7 O 0.953 0.519 0.461 1
O8 O 0.998 0.615 0.033 1
```

---

# 8
This record from the Materials Project database describes an optimized crystal structure of MnP2O7. The functional is GGA+U.

Values from the calculation:
Calculated volume: 13.48 Å³/atom
Energy with MP2020 corrections: -7.81 eV/atom
ΔH_f (0 K): -2348 meV per atom
Electronic total energy: -71.628 eV per formula unit
Theoretical density: 2.8 g/cm3
Polymorph energy (0 for the lowest one): 36 meV per atom

Structure (CIF):
```
data_MnP2O7
_cell_length_a 5.050
_cell_length_b 8.214
_cell_length_c 13.420
_cell_angle_alpha 90.00
_cell_angle_beta 104.33
_cell_angle_gamma 90.00
_space_group_name_H-M_alt 'P 1 21/c 1'
_space_group_IT_number 14
loop_
_space_group_symop_operation_xyz
'x,y,z'
'-x,-y,-z'
'-x,y+1/2,-z+1/2'
'x,-y+1/2,z+1/2'
loop_
_atom_site_label
_atom_site_type_symbol
_atom_site_fract_x
_atom_site_fract_y
_atom_site_fract_z
_atom_site_occupancy
Mn1 Mn 0.161 0.157 0.373 1
P1 P 0.046 0.547 0.308 1
P2 P 0.237 0.698 0.975 1
O1 O 0.018 0.127 0.841 1
O2 O 0.037 0.174 0.498 1
O3 O 0.177 0.569 0.216 1
O4 O 0.217 0.636 0.409 1
O5 O 0.232 0.133 0.236 1
O6 O 0.293 0.561 0.905 1
O7 O 0.475 0.736 0.067 1
```